# 1
Crystalline Ba4Lu6O13 at its relaxed geometry. Source: the Materials Project database, functional PBE.

Cell lengths 5.9845, 12.1759, 12.5573 Å; angles 61.07, 76.25, 89.99 degrees
Last column: nearest neighbours and their distance in Å.
Element x y z (fractional)
Ba: 0.0000 0.0000 0.0000  7 O 2.74-3.05
Ba: 0.0006 0.4942 0.9903  6 O 2.66-2.92
Ba: 0.1716 0.1663 0.6472  6 O 2.66-2.90
Ba: 0.1739 0.6796 0.6376  7 O 2.73-3.06
Ba: 0.4973 0.7378 0.9986  6 O 2.74-3.04
Ba: 0.5025 0.2515 0.9902  6 O 2.65-2.91
Ba: 0.6734 0.9226 0.6467  6 O 2.65-2.91
Ba: 0.6776 0.4149 0.6383  7 O 2.74-3.06
Lu: 0.0869 0.8317 0.8234  5 O 2.13-2.26
Lu: 0.0921 0.3361 0.8134  5 O 2.13-2.26
Lu: 0.2322 0.5446 0.3907  4 O 2.08-2.22
Lu: 0.2753 0.0542 0.4148  5 O 2.09-2.28
Lu: 0.3050 0.8704 0.2470  4 O 2.08-2.21
Lu: 0.3728 0.3624 0.2223  5 O 2.09-2.30
Lu: 0.5861 0.0789 0.8257  5 O 2.13-2.28
Lu: 0.5912 0.5851 0.8135  5 O 2.13-2.26
Lu: 0.7331 0.7988 0.3902  4 O 2.08-2.22
Lu: 0.7740 0.2662 0.4149  5 O 2.09-2.29
Lu: 0.8049 0.6176 0.2462  4 O 2.08-2.21
Lu: 0.8731 0.1500 0.2221  5 O 2.09-2.29
O: 0.0093 0.2318 0.0268  2 Lu 2.09-2.26
O: 0.0191 0.3238 0.2214  3 Lu 2.17-2.29
O: 0.0369 0.7083 0.3175  4 Lu 2.21-2.35
O: 0.1911 0.4456 0.5852  1 Lu 2.08
O: 0.2161 0.9422 0.6100  2 Lu 2.09-2.26
O: 0.3321 0.7016 0.8304  2 Lu 2.14
O: 0.3316 0.9511 0.8335  2 Lu 2.13
O: 0.3410 0.4659 0.8067  2 Lu 2.13
O: 0.3438 0.2126 0.8072  2 Lu 2.14
O: 0.4187 0.2274 0.4153  3 Lu 2.18-2.28
O: 0.4312 0.9030 0.3793  3 Lu 2.17-2.25
O: 0.4573 0.9674 0.0528  1 Lu 2.08
O: 0.4920 0.5110 0.2608  3 Lu 2.16-2.24
O: 0.5117 0.4755 0.0270  2 Lu 2.09-2.26
O: 0.5182 0.1883 0.2216  3 Lu 2.17-2.30
O: 0.5360 0.7085 0.3177  4 Lu 2.21-2.36
O: 0.6987 0.7004 0.5836  1 Lu 2.08
O: 0.7123 0.1849 0.6103  2 Lu 2.09-2.28
O: 0.8323 0.2018 0.8321  2 Lu 2.14-2.15
O: 0.8336 0.9530 0.8280  2 Lu 2.13
O: 0.8411 0.4617 0.8078  2 Lu 2.13
O: 0.8436 0.7156 0.8057  2 Lu 2.14-2.15
O: 0.9187 0.0921 0.4156  3 Lu 2.18-2.29
O: 0.9317 0.4529 0.3780  3 Lu 2.17-2.25
O: 0.9567 0.7149 0.0520  1 Lu 2.08
O: 0.9918 0.9630 0.2592  3 Lu 2.17-2.24

## Properties
- V: 770.8 Å³ per cell
- Space group: P1
- VASP energy: -347.55 eV per cell
- ΔH_f (0 K): -3.634 eV/atom
- Total energy after the MP2020 corrections: -7.94 eV per atom
- Calculated density: 7.79 Mg/m³


# 2
Crystalline BaLu2O4 at its relaxed geometry. Source: the Materials Project database, functional PBE.

Cell lengths 10.3469, 3.3956, 11.9599 Å; angles 90.00, 90.00, 90.00 degrees
Last column: nearest neighbours and their distance in Å.
Element x y z (fractional)
Ba: 0.2479 0.2500 0.1486  8 O 2.71-2.93
Ba: 0.2521 0.7500 0.6486  8 O 2.71-2.93
Ba: 0.7479 0.2500 0.3514  8 O 2.71-2.93
Ba: 0.7521 0.7500 0.8514  8 O 2.71-2.93
Lu: 0.0736 0.2500 0.3896  6 O 2.20-2.28
Lu: 0.0761 0.2500 0.8916  6 O 2.23-2.29
Lu: 0.4239 0.7500 0.3916  6 O 2.23-2.29
Lu: 0.4264 0.7500 0.8896  6 O 2.20-2.28
Lu: 0.5736 0.2500 0.1104  6 O 2.20-2.28
Lu: 0.5761 0.2500 0.6084  6 O 2.23-2.29
Lu: 0.9239 0.7500 0.1084  6 O 2.23-2.29
Lu: 0.9264 0.7500 0.6104  6 O 2.20-2.28
O: 0.0162 0.7500 0.7826  3 Lu 2.23-2.26
O: 0.0667 0.2500 0.5737  3 Lu 2.20-2.28
O: 0.1124 0.7500 0.0155  3 Lu 2.24-2.29
O: 0.2111 0.7500 0.3457  3 Lu 2.27-2.28
O: 0.2889 0.2500 0.8457  3 Lu 2.27-2.28
O: 0.3876 0.2500 0.5155  3 Lu 2.24-2.29
O: 0.4333 0.7500 0.0737  3 Lu 2.20-2.28
O: 0.4838 0.2500 0.2826  3 Lu 2.23-2.26
O: 0.5162 0.7500 0.7174  3 Lu 2.23-2.26
O: 0.5667 0.2500 0.9263  3 Lu 2.20-2.28
O: 0.6124 0.7500 0.4845  3 Lu 2.24-2.29
O: 0.7111 0.7500 0.1543  3 Lu 2.27-2.28
O: 0.7889 0.2500 0.6543  3 Lu 2.27-2.28
O: 0.8876 0.2500 0.9845  3 Lu 2.24-2.29
O: 0.9333 0.7500 0.4263  3 Lu 2.20-2.28
O: 0.9838 0.2500 0.2174  3 Lu 2.23-2.26

## Properties
- V: 420.2 Å³ per cell
- Energy above the lowest structure with this stoichiometry: 0.0000 eV/atom
- Space group: Pnma
- VASP energy: -217.21 eV per cell
- ΔH_f (0 K): -3.757 eV/atom
- Total energy after the MP2020 corrections: -8.15 eV per atom
- Calculated density: 8.71 Mg/m³


# 3
Crystalline Ba2LuReO6 at its relaxed geometry. Source: the Materials Project database, functional PBE.

Cell lengths 5.9232, 5.9232, 5.9252 Å; angles 119.99, 119.99, 60.00 degrees
Last column: nearest neighbours and their distance in Å.
Element x y z (fractional)
Ba: 0.2502 0.2502 0.2497  12 O 2.90-3.03
Ba: 0.7498 0.7498 0.7503  12 O 2.90-3.03
Lu: 0.0000 0.0000 0.5000  6 O 2.20
Re: 0.5000 0.5000 0.0000  6 O 1.99-2.00
O: 0.2559 0.7324 0.2318  1 Re 1.99, 1 Lu 2.20
O: 0.2620 0.2620 0.7503  1 Re 2.00, 1 Lu 2.20
O: 0.2676 0.7441 0.7682  1 Re 1.99, 1 Lu 2.20
O: 0.7324 0.2559 0.2318  1 Re 1.99, 1 Lu 2.20
O: 0.7380 0.7380 0.2497  1 Re 2.00, 1 Lu 2.20
O: 0.7441 0.2676 0.7682  1 Re 1.99, 1 Lu 2.20

## Properties
- V: 147.0 Å³ per cell
- Space group: C2/m
- VASP energy: -77.20 eV per cell
- ΔH_f (0 K): -3.083 eV/atom
- Total energy after the MP2020 corrections: -8.13 eV per atom
- Calculated density: 8.27 Mg/m³


# 4
Crystalline Ba3LuRu2O9 at its relaxed geometry. Source: the Materials Project database, functional PBE.

Cell lengths 5.9204, 5.9204, 14.4662 Å; angles 90.00, 90.00, 120.00 degrees
Last column: nearest neighbours and their distance in Å.
Element x y z (fractional)
Ba: 0.0000 0.0000 0.2500  12 O 2.96-2.97
Ba: 0.0000 0.0000 0.7500  12 O 2.96-2.97
Ba: 0.3333 0.6667 0.0921  12 O 2.91-3.05
Ba: 0.3333 0.6667 0.4079  12 O 2.91-3.05
Ba: 0.6667 0.3333 0.5921  12 O 2.91-3.05
Ba: 0.6667 0.3333 0.9079  12 O 2.91-3.05
Lu: 0.0000 0.0000 0.0000  6 O 2.18
Lu: 0.0000 0.0000 0.5000  6 O 2.18
Ru: 0.3333 0.6667 0.6633  6 O 1.98-2.04
Ru: 0.3333 0.6667 0.8367  6 O 1.98-2.04
Ru: 0.6667 0.3333 0.1633  6 O 1.98-2.04
Ru: 0.6667 0.3333 0.3367  6 O 1.98-2.04
O: 0.0195 0.5098 0.7500  2 Ru 2.04
O: 0.1742 0.3485 0.5862  1 Ru 1.98, 1 Lu 2.18
O: 0.1742 0.3485 0.9138  1 Ru 1.98, 1 Lu 2.18
O: 0.1742 0.8258 0.5862  1 Ru 1.98, 1 Lu 2.18
O: 0.1742 0.8258 0.9138  1 Ru 1.98, 1 Lu 2.18
O: 0.3485 0.1742 0.0862  1 Ru 1.98, 1 Lu 2.18
O: 0.3485 0.1742 0.4138  1 Ru 1.98, 1 Lu 2.18
O: 0.4902 0.5098 0.7500  2 Ru 2.04
O: 0.4902 0.9805 0.7500  2 Ru 2.04
O: 0.5098 0.0195 0.2500  2 Ru 2.04
O: 0.5098 0.4902 0.2500  2 Ru 2.04
O: 0.6515 0.8258 0.5862  1 Ru 1.98, 1 Lu 2.18
O: 0.6515 0.8258 0.9138  1 Ru 1.98, 1 Lu 2.18
O: 0.8258 0.1742 0.0862  1 Ru 1.98, 1 Lu 2.18
O: 0.8258 0.1742 0.4138  1 Ru 1.98, 1 Lu 2.18
O: 0.8258 0.6515 0.0862  1 Ru 1.98, 1 Lu 2.18
O: 0.8258 0.6515 0.4138  1 Ru 1.98, 1 Lu 2.18
O: 0.9805 0.4902 0.2500  2 Ru 2.04

## Properties
- V: 439.1 Å³ per cell
- Space group: P6_3/mmc
- VASP energy: -214.18 eV per cell
- ΔH_f (0 K): -2.661 eV/atom
- Total energy after the MP2020 corrections: -7.55 eV per atom
- Calculated density: 7.06 Mg/m³


# 5
Crystalline Ba2LuUO6 at its relaxed geometry. Source: the Materials Project database, functional PBE.

Cell lengths 6.1591, 6.1591, 6.1591 Å; angles 60.00, 60.00, 60.00 degrees
Last column: nearest neighbours and their distance in Å.
Element x y z (fractional)
Ba: 0.2500 0.2500 0.2500  12 O 3.08
Ba: 0.7500 0.7500 0.7500  12 O 3.08
Lu: 0.0000 0.0000 0.0000  6 O 2.20
U: 0.5000 0.5000 0.5000  6 O 2.16
O: 0.2524 0.2524 0.7476  1 U 2.16, 1 Lu 2.20
O: 0.2524 0.7476 0.2524  1 U 2.16, 1 Lu 2.20
O: 0.2524 0.7476 0.7476  1 U 2.16, 1 Lu 2.20
O: 0.7476 0.2524 0.2524  1 U 2.16, 1 Lu 2.20
O: 0.7476 0.2524 0.7476  1 U 2.16, 1 Lu 2.20
O: 0.7476 0.7476 0.2524  1 U 2.16, 1 Lu 2.20

## Properties
- V: 165.2 Å³ per cell
- Space group: Fm-3m
- VASP energy: -82.21 eV per cell
- ΔH_f (0 K): -3.699 eV/atom
- Total energy after the MP2020 corrections: -8.63 eV per atom
- Calculated density: 7.88 Mg/m³


> Which value of V does entry 5 give?

165.2 Å³ per cell


> Which value of VASP energy does entry 2 give?

-217.21 eV per cell


> Which of these has the lowest total energy after the MP2020 corrections?

Ba2LuUO6


> Among the records above, which one has the highest V?

Ba4Lu6O13